[1]
Computed, not measured: a relaxed LiNiP3O9 crystal at the GGA+U level of DFT.

Results
Energy of formation ... -2498 meV per atom
Magnetization ... 2.000 μB/f.u.
Distance to the lowest polymorph of the same formula ... 0.0 kJ per mole of atoms

Geometry as POSCAR:
```
LiNiP3O9
1.0
8.419 0.000 0.000
0.000 8.568 0.000
0.000 0.000 8.683
O P Ni Li
36 12 4 4
Cartesian
5.187 7.576 5.898
3.231 3.292 7.127
0.345 1.943 5.671
3.029 3.979 2.054
1.584 7.799 1.347
0.872 1.095 7.993
6.834 3.515 2.994
1.340 1.171 3.475
2.625 0.769 5.689
3.337 7.474 3.651
7.441 0.992 1.556
8.074 6.227 7.354
1.180 4.589 6.395
7.290 2.654 7.629
4.554 2.341 3.012
2.870 7.397 7.817
1.881 5.449 0.411
7.670 7.573 3.190
2.328 3.119 4.752
6.538 1.165 3.931
7.079 5.455 0.866
5.794 5.053 7.336
5.338 5.914 3.287
0.749 3.289 1.151
5.389 8.263 2.288
5.081 3.190 0.690
3.461 5.279 5.493
1.129 6.938 5.396
7.547 5.379 5.032
4.958 0.995 7.532
6.090 7.403 8.273
0.978 5.276 2.786
3.081 1.630 1.055
5.549 3.113 5.208
3.865 6.625 1.330
7.239 0.305 6.630
4.465 7.025 2.760
5.921 2.658 3.833
5.758 8.392 7.033
3.954 2.741 1.581
1.711 1.626 4.851
2.661 4.108 5.992
8.163 1.543 7.102
6.707 5.910 8.174
1.548 4.460 1.650
2.498 6.942 0.509
0.255 5.827 5.923
6.870 0.176 2.692
3.110 7.322 5.703
5.309 3.038 7.322
7.319 5.530 2.981
1.100 1.246 1.361
7.141 3.146 1.006
1.278 7.430 3.335
2.932 1.138 7.677
5.487 5.422 5.348
```

[2]
Computed, not measured: a relaxed MgCo4Ni2O8 crystal at the GGA+U level of DFT.

Results
Energy of formation ... -1285 meV per atom
Magnetization ... 1.640 μB/f.u.
Distance to the lowest polymorph of the same formula ... 0.0 kJ per mole of atoms

Geometry as POSCAR:
```
MgCo4Ni2O8
1.0
-3.187 4.981 1.579
-4.448 0.080 4.489
0.621 2.834 5.389
Co Ni O Mg
4 2 8 1
Cartesian
-1.283 3.907 3.484
-6.006 6.554 9.694
-3.507 3.947 5.728
-1.008 1.340 1.762
-1.914 1.457 4.939
-3.817 2.530 3.034
-3.076 5.743 6.310
-1.909 2.171 3.131
-3.804 3.407 7.848
-5.105 5.723 8.325
-3.938 2.151 5.147
-3.210 4.486 3.609
-5.639 4.443 6.011
-1.375 3.451 5.446
0.000 0.000 0.000
```

[3]
Computed, not measured: a relaxed MgMn2Al2O6 crystal at the GGA+U level of DFT.

Results
Energy of formation ... -2704 meV per atom
Magnetization ... 10.000 μB/f.u.
Distance to the lowest polymorph of the same formula ... 6.3 kJ per mole of atoms

Geometry as POSCAR:
```
MgMn2Al2O6
1.0
4.532 -1.605 -1.344
-3.602 0.433 -4.437
-1.044 5.322 -1.131
Al O Mg Mn
2 6 1 2
Cartesian
3.248 1.828 -2.417
-2.580 2.724 -3.552
0.821 0.439 -3.652
-1.065 3.515 -2.887
-2.192 1.392 -4.613
-3.493 4.130 -4.343
3.213 0.028 -2.330
1.773 2.801 -2.258
0.456 1.290 -1.876
0.721 3.892 -4.045
-0.882 -0.175 -4.666
```

[4]
Computed, not measured: a relaxed Na3Ni2O5 crystal at the GGA+U level of DFT.

Results
Energy of formation ... -1291 meV per atom
Magnetization ... 1.000 μB/f.u.

Geometry as POSCAR:
```
Na3Ni2O5
1.0
-0.214 1.909 -4.918
4.888 -3.975 0.250
-5.758 -3.792 -0.384
Na O Ni
6 10 4
Cartesian
2.444 -1.987 0.125
2.132 -4.671 -0.933
-3.215 -1.187 -4.119
2.185 -2.409 -2.948
0.000 0.000 0.000
-3.269 -3.449 -2.104
-1.839 -4.555 -3.458
0.503 -1.580 -4.306
0.395 -3.940 -2.363
0.332 -5.975 -0.545
-1.479 -1.918 -2.689
0.755 -1.303 -1.594
-4.846 -2.729 -3.524
3.762 -3.129 -1.527
-1.587 -4.278 -0.745
-1.416 0.118 -4.507
-0.782 -5.420 -2.062
-0.302 -0.438 -2.990
-0.686 -3.096 -4.002
-0.398 -2.762 -1.050
```

[5]
Computed, not measured: a relaxed MgAg4Te8Mo2O24 crystal at the GGA+U level of DFT.

Results
Energy of formation ... -1459 meV per atom
Magnetization ... 1.995 μB/f.u.
Distance to the lowest polymorph of the same formula ... 0.0 kJ per mole of atoms

Geometry as POSCAR:
```
MgAg4Te8Mo2O24
1.0
0.146 -5.899 -0.019
-8.669 3.180 2.295
-0.032 -0.030 -12.118
Ag O Te Mo Mg
4 24 8 2 1
Cartesian
-3.866 -1.667 -8.337
-5.046 1.564 -7.665
-3.623 -3.938 -4.063
-4.099 0.298 -1.701
-8.353 0.823 -8.131
-0.353 -0.869 -1.637
-0.338 -3.948 -1.742
-5.972 -0.665 -7.364
-6.567 -3.456 -6.279
-1.951 0.611 -3.734
-8.614 2.292 -2.128
-2.576 -0.153 -6.362
-2.020 -0.771 -9.512
-4.381 -0.371 -4.153
-5.707 -2.891 -3.555
-8.435 -2.099 -8.038
-6.592 -2.230 -0.305
-0.363 -2.225 -7.678
-4.176 -3.175 0.166
-4.480 0.617 -9.991
-4.141 -2.424 -5.838
-2.611 -0.164 -0.058
-5.778 -2.523 -9.560
0.028 -5.320 -7.565
-3.049 -1.943 -2.105
-6.045 1.277 -1.448
-8.142 -0.628 -2.167
-2.522 -4.106 -8.327
-7.276 -0.753 -8.733
-2.633 -1.033 -4.578
-1.415 -4.395 -6.803
-7.361 1.042 -2.803
-2.632 0.868 -10.328
-5.897 -1.869 -5.228
-5.799 -3.632 1.042
-1.729 -1.773 -0.703
-8.547 -1.950 -0.641
-8.650 2.148 -6.634
-5.013 -2.664 -1.643
```

[6]
Computed, not measured: a relaxed Ca2Mn7Si10H12O35 crystal at the GGA+U level of DFT.

Results
Energy of formation ... -2490 meV per atom
Magnetization ... 15.000 μB/f.u.
Distance to the lowest polymorph of the same formula ... 0.5 kJ per mole of atoms

Geometry as POSCAR:
```
Ca2Mn7Si10H12O35
1.0
-5.262 4.917 5.358
-3.906 -7.057 4.069
11.719 0.437 14.741
O Si H Mn Ca
70 20 24 14 4
Cartesian
2.290 -2.479 16.757
-0.002 0.384 11.851
-3.321 -2.302 4.938
-1.901 -1.708 7.126
1.019 -4.093 11.449
-1.097 2.707 12.433
-2.587 0.176 5.277
-2.970 1.438 7.644
3.649 -4.410 11.736
3.307 3.284 17.535
-1.401 -0.214 9.649
2.111 -4.197 13.963
8.579 0.175 14.166
0.441 2.494 10.206
0.261 0.776 7.412
-6.947 -2.832 7.274
-3.558 -2.693 9.383
2.926 1.655 15.013
1.533 2.391 12.720
1.396 1.357 4.967
-4.700 -3.280 11.823
3.648 0.884 9.521
3.249 0.391 12.647
7.529 -0.858 17.079
9.499 1.129 16.895
-3.766 -4.402 6.587
5.522 -3.140 16.525
2.747 -0.027 6.777
2.637 -3.643 9.153
-2.243 -4.663 4.379
1.415 -1.118 21.468
-4.977 -0.844 7.090
6.317 2.700 17.582
-4.822 0.472 9.596
-6.027 -1.877 10.003
-0.374 -3.357 9.156
1.137 -0.585 2.701
4.140 2.827 12.860
5.072 -4.775 14.043
4.272 -4.315 18.670
6.110 0.990 14.786
3.273 -0.241 19.536
-1.720 2.613 5.499
7.374 -2.175 14.573
1.447 -2.345 7.074
7.252 1.578 12.346
-0.085 1.941 15.016
-4.446 -1.369 14.101
-1.096 -2.587 14.648
-0.697 -2.093 11.522
5.873 0.599 19.231
1.676 -1.086 9.693
-2.602 -0.474 12.114
4.453 0.005 17.042
-0.196 -1.675 17.391
6.998 -0.334 10.068
5.154 -1.229 12.055
2.554 -2.087 12.318
-1.589 -4.530 11.309
-0.756 -4.987 6.634
4.794 2.960 19.790
-2.521 3.072 10.125
1.105 0.643 17.095
-0.721 -1.462 4.633
5.138 -1.879 18.892
6.883 -3.862 18.794
-4.331 2.160 5.375
3.953 -1.489 14.520
0.876 -0.617 14.475
1.156 -3.060 19.201
5.479 -3.301 18.139
-6.063 -0.255 10.359
2.733 -1.640 6.392
3.808 -1.160 12.919
-0.381 -3.520 10.767
4.604 -0.312 18.647
0.957 -2.859 17.593
-2.928 1.598 6.029
-4.896 -3.070 10.215
6.115 2.248 19.112
7.448 1.367 13.954
2.933 1.818 13.402
-3.563 -3.950 5.057
0.260 2.021 11.723
-2.052 -1.391 5.522
1.594 1.157 6.576
8.614 -1.448 13.810
-0.181 -0.062 17.777
2.292 -3.723 12.446
-1.257 -0.542 11.250
4.483 -3.100 10.344
-1.932 1.397 13.825
-4.036 4.328 7.088
-6.218 -2.174 7.338
1.127 -0.680 13.527
-1.062 -3.123 15.466
8.036 -1.683 16.952
-4.748 -0.870 6.133
-6.928 -3.347 8.104
1.425 -1.023 10.642
2.892 0.251 9.474
2.972 -4.301 9.802
7.300 -0.832 18.036
2.093 -1.982 9.590
6.588 -6.030 17.081
8.769 0.471 16.831
9.480 1.645 16.065
0.459 0.279 14.579
0.698 -6.278 9.711
1.854 4.575 14.458
3.613 1.420 8.703
-0.420 2.598 14.367
-0.341 -1.954 14.695
-5.485 -0.020 7.217
-3.282 -0.681 8.659
6.918 -4.176 15.033
-2.276 -3.775 8.003
3.590 -3.558 15.397
5.834 -1.021 15.510
4.828 2.072 16.166
2.578 -0.464 16.038
1.508 2.678 16.508
1.044 -4.381 7.661
-4.366 2.474 9.136
-1.039 1.855 8.772
-0.026 -1.239 8.130
-6.234 -2.022 13.098
8.786 0.319 11.071
-0.512 0.763 3.711
-2.801 -2.683 13.071
5.353 0.980 11.098
3.064 -2.466 20.458
```

[7]
Computed, not measured: a relaxed Ba2FeMoO6 crystal at the GGA+U level of DFT.

Results
Energy of formation ... -2501 meV per atom
Magnetization ... 1.000 μB/f.u.
Distance to the lowest polymorph of the same formula ... 0.0 kJ per mole of atoms

Geometry as POSCAR:
```
Ba2FeMoO6
1.0
-0.886 -5.624 -1.009
4.306 1.665 3.509
-6.691 2.788 6.923
O Mo Ba Fe
12 2 4 2
Cartesian
-0.003 0.591 4.508
-0.471 -2.153 4.029
-5.921 -1.496 5.740
2.700 0.419 3.693
-2.847 0.880 5.391
-3.245 -1.865 4.884
-0.640 1.760 7.137
2.229 -2.328 3.206
-5.525 1.256 6.242
0.561 -0.401 1.927
-3.822 -0.709 7.506
-2.641 -2.998 2.276
1.112 -0.870 3.867
-4.383 -0.306 5.555
-1.085 -1.033 6.643
0.120 -3.232 1.426
-3.387 2.089 8.002
-2.189 -0.166 2.775
-6.697 2.742 6.914
-2.071 -3.339 4.215
```

[8]
Computed, not measured: a relaxed CrF4 crystal at the GGA+U level of DFT.

Results
Energy of formation ... -2600 meV per atom

Geometry as POSCAR:
```
CrF4
1.0
8.624 0.000 0.000
0.000 8.624 0.000
0.000 0.000 3.864
Cr F
4 16
Cartesian
3.189 5.435 1.932
1.123 1.123 0.000
7.502 7.502 0.000
5.435 3.189 1.932
1.465 5.226 1.932
7.558 7.558 1.932
7.793 0.832 0.000
2.848 0.914 0.000
3.246 5.378 0.000
7.710 5.777 0.000
5.777 7.710 0.000
0.914 2.848 0.000
3.398 7.160 1.932
5.226 1.465 1.932
5.378 3.246 0.000
3.481 3.481 1.932
0.832 7.793 0.000
1.066 1.066 1.932
7.160 3.398 1.932
5.144 5.144 1.932
```

[9]
Computed, not measured: a relaxed Li9Fe2O8 crystal at the GGA+U level of DFT.

Results
Energy of formation ... -1907 meV per atom
Magnetization ... 8.999 μB/f.u.
Distance to the lowest polymorph of the same formula ... 1.5 kJ per mole of atoms

Geometry as POSCAR:
```
Li9Fe2O8
1.0
-2.481 6.123 -1.676
-0.348 -1.579 -5.256
-10.207 -4.507 -1.353
Fe O Li
4 16 18
Cartesian
-0.655 -0.357 -0.751
-6.053 -0.292 -6.157
-8.166 3.328 -3.053
-11.122 -2.631 -6.811
-4.902 -1.176 -4.876
-5.927 1.500 -5.741
-4.769 0.934 -2.437
-11.564 1.533 -4.279
-1.946 0.217 -1.950
-4.107 -2.020 -2.013
-11.084 -0.769 -6.281
-10.042 -0.900 -3.229
-9.932 -3.464 -5.676
-2.637 1.457 -4.822
-6.892 -3.975 -4.949
-3.167 3.812 -2.817
-4.157 4.123 -5.871
-8.524 1.602 -3.622
-6.914 -1.787 -2.578
-7.707 -0.880 -5.475
-3.691 -2.574 -3.945
-11.505 -0.394 -4.373
-2.773 3.459 -4.716
-4.426 0.741 -4.377
-8.006 1.237 -5.429
-4.163 2.131 -6.301
-10.182 1.061 -2.874
-11.275 1.293 -6.297
-2.949 1.804 -2.693
-7.590 -3.551 -3.012
-8.122 -2.946 -6.205
-4.740 4.262 -3.857
-3.652 -0.205 -1.234
-1.480 -0.018 -3.792
-9.569 -1.414 -5.081
-8.090 -0.357 -3.395
-5.308 -0.840 -2.957
-6.516 -2.152 -4.474
```

[10]
Computed, not measured: a relaxed Co2C2O7 crystal at the GGA+U level of DFT.

Results
Energy of formation ... -1431 meV per atom
Magnetization ... 8.000 μB/f.u.
Distance to the lowest polymorph of the same formula ... 0.7 kJ per mole of atoms

Geometry as POSCAR:
```
Co2C2O7
1.0
4.232 2.449 0.000
-4.232 2.449 0.000
0.000 0.467 15.927
O C Co
14 4 4
Cartesian
-2.507 3.181 1.550
-1.409 2.799 11.945
2.507 3.414 9.513
-0.262 3.081 1.484
-1.451 3.935 6.374
1.409 2.565 3.982
0.262 3.315 9.447
0.262 2.283 14.443
1.451 4.168 14.338
-2.507 1.950 6.413
2.507 2.183 14.377
-0.262 2.050 6.479
1.451 1.429 9.552
-1.451 1.196 1.589
1.410 2.880 14.380
-1.410 2.484 1.546
-1.410 2.646 6.417
1.410 2.718 9.510
-1.391 2.884 13.731
-1.391 2.714 10.159
1.391 2.481 2.196
1.391 2.650 5.768
```